Entry 1:
LiCoBP2H2O11 | PBE with a Hubbard U | optimized geometry

```
LiCoBP2H2O11
1.0
3.9552 9.0725 0.4191
4.6391 -7.2006 -4.9759
-8.1260 4.1713 -13.6122
Li Co B P H O
6 6 6 12 12 66
Direct
0.7741 0.2259 0.7500
0.4519 0.2259 0.4167
0.2259 0.7741 0.2500
0.5481 0.7741 0.9167
0.7741 0.5481 0.0833
0.2259 0.4519 0.5833
0.4819 0.5181 0.7500
0.0362 0.5181 0.4167
0.5181 0.4819 0.2500
0.9638 0.4819 0.9167
0.4819 0.9638 0.0833
0.5181 0.0362 0.5833
0.1504 0.8496 0.7500
0.6991 0.8496 0.4167
0.8496 0.1504 0.2500
0.3009 0.1504 0.9167
0.1504 0.3009 0.0833
0.8496 0.6991 0.5833
0.6442 0.8220 0.5782
0.1778 0.3558 0.2449
0.3558 0.1780 0.0782
0.8222 0.1780 0.0884
0.1780 0.8222 0.9116
0.8222 0.6442 0.7449
0.8220 0.6442 0.4218
0.1778 0.8220 0.5884
0.8220 0.1778 0.4116
0.1780 0.3558 0.9218
0.3558 0.1778 0.7551
0.6442 0.8222 0.2551
0.5164 0.0399 0.9296
0.5236 0.4836 0.5963
0.4836 0.9601 0.4296
0.4764 0.9601 0.7371
0.9601 0.4764 0.2629
0.4764 0.5164 0.0963
0.0399 0.5164 0.0704
0.5236 0.0399 0.2371
0.0399 0.5236 0.7629
0.9601 0.4836 0.5704
0.4836 0.5236 0.4037
0.5164 0.4764 0.9037
0.2697 0.4991 0.8661
0.2293 0.7303 0.5327
0.7303 0.5009 0.3661
0.7707 0.5009 0.8006
0.5009 0.7707 0.1994
0.7707 0.2697 0.0327
0.4991 0.2697 0.1339
0.2293 0.4991 0.3006
0.4991 0.2293 0.6994
0.5009 0.7303 0.6339
0.7303 0.2293 0.4673
0.2697 0.7707 0.9673
0.9523 0.4393 0.7929
0.4870 0.0477 0.4596
0.0477 0.5607 0.2929
0.5130 0.5607 0.8738
0.5607 0.5130 0.1262
0.5130 0.9523 0.9596
0.4393 0.9523 0.2071
0.4870 0.4393 0.3738
0.4393 0.4870 0.6262
0.5607 0.0477 0.7071
0.0477 0.4870 0.5404
0.9523 0.5130 0.0404
0.7853 0.8024 0.5987
0.0171 0.2147 0.2654
0.2147 0.1976 0.0987
0.9829 0.1976 0.0680
0.1976 0.9829 0.9320
0.9829 0.7853 0.7654
0.8024 0.7853 0.4013
0.0171 0.8024 0.5680
0.8024 0.0171 0.4320
0.1976 0.2147 0.9013
0.2147 0.0171 0.7346
0.7853 0.9829 0.2346
0.8891 0.1109 0.7500
0.2218 0.1109 0.4167
0.1109 0.8891 0.2500
0.7782 0.8891 0.9167
0.8891 0.7782 0.0833
0.1109 0.2218 0.5833
0.5937 0.7699 0.4867
0.1762 0.4063 0.1534
0.4063 0.2301 0.9867
0.8238 0.2301 0.1800
0.2301 0.8238 0.8200
0.8238 0.5937 0.6534
0.7699 0.5937 0.5133
0.1762 0.7699 0.6800
0.7699 0.1762 0.3200
0.2301 0.4063 0.0133
0.4063 0.1762 0.8466
0.5937 0.8238 0.3466
0.6904 0.9946 0.5871
0.3042 0.3096 0.2538
0.3096 0.0054 0.0871
0.6958 0.0054 0.0796
0.0054 0.6958 0.9204
0.6958 0.6904 0.7538
0.9946 0.6904 0.4129
0.3042 0.9946 0.5796
0.9946 0.3042 0.4204
0.0054 0.3096 0.9129
0.3096 0.3042 0.7462
0.6904 0.6958 0.2462
```



Entry 2:
LiMnP2HO7 | PBE with a Hubbard U | optimized geometry

Calculated values
relative energy among the computed polymorphs	0.12	eV/f.u.

```
LiMnP2HO7
1.0
-9.9296 -5.7768 5.9028
1.8382 -4.6704 -1.4784
5.6902 -3.9100 5.7455
Li Mn P H O
4 4 8 4 28
Direct
0.5145 0.6870 0.1230
0.0145 0.3130 0.3770
0.9855 0.6870 0.6230
0.4855 0.3130 0.8770
0.8741 0.3789 0.0137
0.3741 0.6211 0.4863
0.6259 0.3789 0.5137
0.1259 0.6211 0.9863
0.5443 0.0929 0.2493
0.0443 0.9071 0.2507
0.8319 0.6969 0.2722
0.3319 0.3031 0.2278
0.6681 0.6969 0.7722
0.1681 0.3031 0.7278
0.9557 0.0929 0.7493
0.4557 0.9071 0.7507
0.6810 0.0130 0.1120
0.1810 0.9870 0.3880
0.8190 0.0130 0.6120
0.3190 0.9870 0.8880
0.0262 0.1868 0.1005
0.5989 0.0331 0.1081
0.7950 0.9672 0.1237
0.4353 0.2013 0.1506
0.2576 0.4003 0.0854
0.0922 0.6643 0.2264
0.8780 0.4666 0.2307
0.3780 0.5334 0.2693
0.9353 0.7987 0.3494
0.2950 0.0328 0.3763
0.5922 0.3357 0.2736
0.0989 0.9669 0.3919
0.5262 0.8132 0.3995
0.7576 0.5997 0.4146
0.2424 0.4003 0.5854
0.4738 0.1868 0.6005
0.9011 0.0331 0.6081
0.4078 0.6643 0.7264
0.7050 0.9672 0.6237
0.0647 0.2013 0.6506
0.6220 0.4666 0.7307
0.1220 0.5334 0.7693
0.9078 0.3357 0.7736
0.7424 0.5997 0.9146
0.5647 0.7987 0.8494
0.2050 0.0328 0.8763
0.4011 0.9669 0.8919
0.9738 0.8132 0.8995
```



Entry 3:
NbP6W3O24 | PBE with a Hubbard U | optimized geometry

```
NbP6W3O24
1.0
7.8522 -4.4305 0.0000
7.8522 4.4305 0.0000
5.3523 0.0000 7.2553
Nb P W O
1 6 3 24
Direct
0.1408 0.1408 0.1408
0.5350 0.9648 0.2525
0.2525 0.5350 0.9648
0.9648 0.2525 0.5350
0.0367 0.7477 0.4633
0.7477 0.4633 0.0367
0.4633 0.0367 0.7477
0.8581 0.8581 0.8581
0.6424 0.6424 0.6424
0.3563 0.3563 0.3563
0.4897 0.8671 0.7189
0.8671 0.7189 0.4897
0.7082 0.9441 0.0896
0.7189 0.4897 0.8671
0.5547 0.7909 0.4280
0.3621 0.9995 0.2239
0.0896 0.7082 0.9441
0.4280 0.5547 0.7909
0.7909 0.4280 0.5547
0.0176 0.7701 0.6267
0.0648 0.9188 0.2856
0.7701 0.6267 0.0176
0.2239 0.3621 0.9995
0.9441 0.0896 0.7082
0.9995 0.2239 0.3621
0.2120 0.5802 0.4263
0.5802 0.4263 0.2120
0.9188 0.2856 0.0648
0.6267 0.0176 0.7701
0.4263 0.2120 0.5802
0.2934 0.5005 0.1297
0.2856 0.0648 0.9188
0.1297 0.2934 0.5005
0.5005 0.1297 0.2934
```



Entry 4:
Li2FePCO7 | PBE with a Hubbard U | optimized geometry

Calculated values
relative energy among the computed polymorphs	0.17	eV/f.u.

```
Li2FePCO7
1.0
-1.2251 4.5638 -4.4469
-2.1397 -5.8986 -5.4642
-9.8195 -0.0651 2.6384
Li Fe P C O
8 4 4 4 28
Direct
0.7538 0.9035 0.6185
0.7462 0.9035 0.1185
0.9657 0.7253 0.8744
0.5343 0.7253 0.3744
0.4657 0.2747 0.6256
0.0343 0.2747 0.1256
0.2538 0.0965 0.8815
0.2462 0.0965 0.3815
0.2422 0.6701 0.6001
0.2578 0.6701 0.1001
0.7422 0.3299 0.8999
0.7578 0.3299 0.3999
0.7451 0.5796 0.6393
0.7549 0.5796 0.1393
0.2451 0.4204 0.8607
0.2549 0.4204 0.3607
0.2554 0.9601 0.6490
0.2446 0.9601 0.1490
0.7554 0.0399 0.8510
0.7446 0.0399 0.3510
0.2598 0.9231 0.5258
0.7800 0.8978 0.8162
0.2402 0.9231 0.0258
0.2262 0.8377 0.7367
0.7200 0.8978 0.3162
0.2738 0.8377 0.2367
0.9365 0.6819 0.5964
0.5630 0.6956 0.5982
0.9370 0.6956 0.0982
0.5635 0.6819 0.0964
0.2225 0.5799 0.9271
0.7576 0.5388 0.7915
0.2775 0.5799 0.4271
0.7424 0.5388 0.2915
0.2576 0.4612 0.7085
0.7225 0.4201 0.5729
0.2424 0.4612 0.2085
0.7775 0.4201 0.0729
0.4365 0.3181 0.9036
0.0630 0.3044 0.9018
0.4370 0.3044 0.4018
0.0635 0.3181 0.4036
0.7262 0.1623 0.7633
0.2800 0.1022 0.6838
0.7738 0.1623 0.2633
0.7598 0.0769 0.9742
0.2200 0.1022 0.1838
0.7402 0.0769 0.4742
```



Entry 5:
Ba2MgNiWO6 | PBE with a Hubbard U | optimized geometry

Calculated values
relative energy among the computed polymorphs	0.00	eV/f.u.

```
Ba2MgNiWO6
1.0
-4.6022 0.1535 4.2413
-3.6649 -4.9233 1.2337
0.2414 -3.1586 5.4071
Ba Mg Ni W O
2 1 1 1 6
Direct
0.2190 0.2190 0.2191
0.7573 0.7573 0.7580
0.4331 0.4331 0.4335
0.5842 0.5842 0.5818
0.9823 0.9823 0.9826
0.2082 0.7569 0.7586
0.2146 0.7472 0.2149
0.7569 0.2082 0.7586
0.2146 0.2146 0.7476
0.7472 0.2146 0.2149
0.7577 0.7577 0.2079
```



Entry 6:
Li3Mn2CoO6 | PBE with a Hubbard U | optimized geometry

Calculated values
relative energy among the computed polymorphs	0.51	eV/f.u.

```
Li3Mn2CoO6
1.0
-0.0458 -1.6158 2.5023
5.9582 -1.2045 -2.5228
7.0162 8.6163 4.8700
Li Mn Co O
6 4 2 12
Direct
0.6584 0.3224 0.0894
0.6748 0.3440 0.5774
0.9833 0.0019 0.2644
0.0032 0.0128 0.7429
0.3501 0.6647 0.4023
0.3300 0.6536 0.9238
0.0016 0.0090 0.4989
0.0202 0.9959 0.9960
0.3123 0.6708 0.6706
0.3328 0.6578 0.1677
0.6667 0.3334 0.8333
0.6667 0.3334 0.3333
0.4946 0.9911 0.8896
0.5255 0.9927 0.3852
0.8087 0.6740 0.2816
0.8379 0.6757 0.7769
0.8848 0.6808 0.0401
0.7976 0.6809 0.5614
0.4487 0.9859 0.6266
0.5352 0.9858 0.1052
0.1668 0.3450 0.2071
0.1609 0.3636 0.7108
0.1667 0.3217 0.4596
0.1722 0.3031 0.9559
```



Entry 7:
MgV12Zn6O24 | PBE with a Hubbard U | optimized geometry

Calculated values
relative energy among the computed polymorphs	0.78	eV/f.u.

```
MgV12Zn6O24
1.0
6.0636 0.0385 0.0507
3.0649 5.3451 0.0413
9.2477 5.4317 15.2960
Mg V Zn O
1 12 6 24
Direct
0.8936 0.3207 0.9773
0.0098 0.4888 0.1740
0.5232 0.4805 0.1716
0.0044 0.5007 0.4980
0.5228 0.9926 0.1718
0.5036 0.4959 0.3352
0.5012 0.5010 0.4985
0.0015 0.5240 0.8121
0.5020 0.0014 0.4983
0.4892 0.0133 0.8238
0.5084 0.5058 0.6599
0.4914 0.5108 0.8255
0.8186 0.8933 0.9581
0.1300 0.0250 0.1135
0.1321 0.1212 0.3758
0.3618 0.5869 0.9985
0.1284 0.1302 0.7012
0.8735 0.8653 0.2994
0.8722 0.8847 0.6190
0.2986 0.2522 0.0912
0.2904 0.2423 0.2434
0.2928 0.6979 0.0922
0.7750 0.2192 0.1011
0.2831 0.7468 0.2428
0.2692 0.2563 0.4195
0.7362 0.2711 0.2547
0.7549 0.7486 0.0876
0.2630 0.7161 0.4180
0.2591 0.2654 0.5689
0.7369 0.7340 0.2541
0.7225 0.2601 0.4227
0.2820 0.7435 0.5735
0.2783 0.2640 0.7404
0.7445 0.2869 0.5769
0.7451 0.7349 0.4284
0.2604 0.2695 0.8939
0.2778 0.7285 0.7409
0.7399 0.7475 0.5753
0.7223 0.2613 0.7501
0.2236 0.7753 0.9028
0.7084 0.7641 0.7527
0.7364 0.2799 0.9111
0.7274 0.7259 0.9141
```



Entry 8:
KV2P3O15 | PBE with a Hubbard U | optimized geometry

```
KV2P3O15
1.0
10.2207 0.0000 0.0000
0.0000 6.3599 0.0000
0.0000 4.5443 18.0338
K V P O
4 8 12 60
Direct
0.5907 0.7452 0.3408
0.9093 0.7452 0.8408
0.4093 0.2548 0.6592
0.0907 0.2548 0.1592
0.6408 0.6159 0.1506
0.8592 0.6159 0.6506
0.3592 0.3841 0.8494
0.1408 0.3841 0.3494
0.7835 0.1615 0.9774
0.7165 0.1615 0.4774
0.2165 0.8385 0.0226
0.2835 0.8385 0.5226
0.8321 0.3585 0.3130
0.6679 0.3585 0.8130
0.1679 0.6415 0.6870
0.3321 0.6415 0.1870
0.5972 0.1299 0.1260
0.9028 0.1299 0.6260
0.4028 0.8701 0.8740
0.0972 0.8701 0.3740
0.9343 0.8293 0.1138
0.5657 0.8293 0.6138
0.0657 0.1707 0.8862
0.4343 0.1707 0.3862
0.9783 0.4234 0.2958
0.5217 0.4234 0.7958
0.0217 0.5766 0.7042
0.4783 0.5766 0.2042
0.8080 0.1341 0.2970
0.6920 0.1341 0.7970
0.1920 0.8659 0.7030
0.3080 0.8659 0.2030
0.8069 0.3484 0.3976
0.6931 0.3484 0.8976
0.1931 0.6516 0.6024
0.3069 0.6516 0.1024
0.7387 0.5214 0.2659
0.7613 0.5214 0.7659
0.2613 0.4786 0.7341
0.2387 0.4786 0.2341
0.5810 0.6817 0.0686
0.9190 0.6817 0.5686
0.4190 0.3183 0.9314
0.0810 0.3183 0.4314
0.6452 0.9053 0.1718
0.8548 0.9053 0.6718
0.3548 0.0947 0.8282
0.1452 0.0947 0.3282
0.4474 0.1514 0.1265
0.0526 0.1514 0.6265
0.5526 0.8486 0.8735
0.9474 0.8486 0.3735
0.6580 0.3082 0.1599
0.8420 0.3082 0.6599
0.3420 0.6918 0.8401
0.1580 0.6918 0.3401
0.6458 0.1639 0.0443
0.8542 0.1639 0.5443
0.3542 0.8361 0.9557
0.1458 0.8361 0.4557
0.8525 0.4783 0.9902
0.6475 0.4783 0.4902
0.1475 0.5217 0.0098
0.3525 0.5217 0.5098
0.7736 0.9354 0.9531
0.7264 0.9354 0.4531
0.2264 0.0646 0.0469
0.2736 0.0646 0.5469
0.8977 0.0561 0.0632
0.6023 0.0561 0.5632
0.1023 0.9439 0.9368
0.3977 0.9439 0.4368
0.0531 0.7351 0.0778
0.4469 0.7351 0.5778
0.9469 0.2649 0.9222
0.5531 0.2649 0.4222
0.9819 0.8628 0.1875
0.5181 0.8628 0.6875
0.0181 0.1372 0.8125
0.4819 0.1372 0.3125
0.8236 0.6616 0.1192
0.6764 0.6616 0.6192
0.1764 0.3384 0.8808
0.3236 0.3384 0.3808
```



Number 1: formation energy from the elements -1.680 eV/atom, calculated density 2.26 g cm⁻³, energy -0.4442 Ry per atom. Number 2: formation energy from the elements -2.443 eV/atom, calculated density 2.87 g cm⁻³, energy -0.5069 Ry per atom. Number 3: formation energy from the elements -2.580 eV/atom, calculated density 3.99 g cm⁻³, energy -0.5580 Ry per atom. Number 4: formation energy from the elements -2.281 eV/atom, calculated density 2.73 g cm⁻³, energy -0.5015 Ry per atom. Number 5: formation energy from the elements -2.180 eV/atom, calculated density 6.54 g cm⁻³, energy -0.4460 Ry per atom. Number 6: formation energy from the elements -1.961 eV/atom, calculated density 4.23 g cm⁻³, energy -0.4611 Ry per atom. Number 7: formation energy from the elements -2.256 eV/atom, calculated density 4.78 g cm⁻³, energy -0.5077 Ry per atom. Number 8: formation energy from the elements -2.116 eV/atom, calculated density 2.69 g cm⁻³, energy -0.4916 Ry per atom.